First-principles (meta-GGA r2SCAN) data for crystalline ZrGaPt at its relaxed geometry, as listed in the Materials Project database. Values from VASP.

Calculated values
- crystal system = hexagonal
- energy of formation (eV/atom) = -1.08

Geometry as Quantum ESPRESSO input:
```
&SYSTEM
  ibrav = 0, nat = 9, ntyp = 3
/
ATOMIC_SPECIES
Zr 91.22 Zr.upf
Pt 195.08 Pt.upf
Ga 69.72 Ga.upf
ATOMIC_POSITIONS crystal
Zr 0.5000 0.3965 0.3965
Zr 0.5000 0.6035 0.0000
Zr 0.5000 0.0000 0.6035
Pt 0.5000 0.0000 0.0000
Pt 0.0000 0.6667 0.3333
Pt 0.0000 0.3334 0.6667
Ga 0.0000 0.0000 0.2645
Ga 0.0000 0.7355 0.7355
Ga 0.0000 0.2644 0.0000
CELL_PARAMETERS angstrom
-1.8293 2.8088 -1.3153
6.0975 2.9017 -2.2837
-3.6735 -4.3846 -4.2541
```


First-principles (meta-GGA r2SCAN) data for crystalline LiMg2 at its relaxed geometry, as listed in the Materials Project database. Values from VASP.

Calculated values
- crystal system = orthorhombic
- energy of formation (eV/atom) = -0.02

Geometry as Quantum ESPRESSO input:
```
&SYSTEM
  ibrav = 0, nat = 6, ntyp = 2
/
ATOMIC_SPECIES
Mg 24.30 Mg.upf
Li 6.94 Li.upf
ATOMIC_POSITIONS crystal
Mg 0.0020 0.9980 0.0000
Mg 0.6673 0.3327 0.0000
Mg 0.3314 0.6686 0.0000
Mg 0.4443 0.5557 0.5000
Li 0.1108 0.8892 0.5000
Li 0.7776 0.2224 0.5000
CELL_PARAMETERS angstrom
1.5745 -8.1736 0.0000
1.5745 8.1736 0.0000
0.0000 0.0000 5.0087
```


First-principles (meta-GGA r2SCAN) data for crystalline Sr4SeS3 at its relaxed geometry, as listed in the Materials Project database. Values from VASP.

Calculated values
- crystal system = monoclinic
- energy of formation (eV/atom) = -2.40

Geometry as Quantum ESPRESSO input:
```
&SYSTEM
  ibrav = 0, nat = 8, ntyp = 3
/
ATOMIC_SPECIES
S 32.06 S.upf
Sr 87.62 Sr.upf
Se 78.96 Se.upf
ATOMIC_POSITIONS crystal
S 0.0000 0.0000 0.0000
S 0.7510 0.7510 0.7508
S 0.2490 0.2490 0.2492
Sr 0.8716 0.8716 0.3709
Sr 0.6257 0.6257 0.1196
Sr 0.3743 0.3743 0.8804
Sr 0.1284 0.1284 0.6291
Se 0.5000 0.5000 0.5000
CELL_PARAMETERS angstrom
2.1585 7.1592 -0.0004
-2.1585 7.1592 -0.0004
0.0000 1.3045 7.3670
```


First-principles (meta-GGA r2SCAN) data for crystalline Rb3Os2Br9 at its relaxed geometry, as listed in the Materials Project database. Values from VASP.

Calculated values
- crystal system = hexagonal
- energy of formation (eV/atom) = -1.00

Geometry as Quantum ESPRESSO input:
```
&SYSTEM
  ibrav = 0, nat = 28, ntyp = 3
/
ATOMIC_SPECIES
Br 79.90 Br.upf
Os 190.23 Os.upf
Rb 85.47 Rb.upf
ATOMIC_POSITIONS crystal
Br 0.6479 0.8239 0.4045
Br 0.8240 0.1761 0.9045
Br 0.9988 0.4994 0.7500
Br 0.4994 0.5006 0.2500
Br 0.4994 0.9988 0.2500
Br 0.8239 0.6479 0.5955
Br 0.1761 0.8239 0.4045
Br 0.1761 0.8239 0.0955
Br 0.3521 0.1761 0.5955
Br 0.8239 0.6479 0.9045
Br 0.1761 0.3522 0.0955
Br 0.5006 0.0011 0.7500
Br 0.1761 0.3522 0.4045
Br 0.8239 0.1761 0.5955
Br 0.5006 0.4994 0.7500
Br 0.3521 0.1761 0.9045
Br 0.0012 0.5006 0.2500
Br 0.6478 0.8239 0.0955
Os 0.6667 0.3333 0.6760
Os 0.6667 0.3333 0.8240
Os 0.3333 0.6666 0.1760
Os 0.3333 0.6666 0.3240
Rb 0.0000 0.0000 0.7500
Rb 0.0000 0.0000 0.2500
Rb 0.3333 0.6667 0.5644
Rb 0.3333 0.6667 0.9356
Rb 0.6667 0.3333 0.0645
Rb 0.6667 0.3333 0.4356
CELL_PARAMETERS angstrom
3.7443 -6.4854 -0.0001
3.7444 6.4854 0.0000
-0.0002 0.0002 18.2205
```


First-principles (meta-GGA r2SCAN) data for crystalline Al4CdO7 at its relaxed geometry, as listed in the Materials Project database. Values from VASP.

Calculated values
- crystal system = monoclinic
- energy of formation (eV/atom) = -2.98

Geometry as Quantum ESPRESSO input:
```
&SYSTEM
  ibrav = 0, nat = 24, ntyp = 3
/
ATOMIC_SPECIES
Al 26.98 Al.upf
O 16.00 O.upf
Cd 112.41 Cd.upf
ATOMIC_POSITIONS crystal
Al 0.6839 0.5611 0.7617
Al 0.5611 0.6839 0.2617
Al 0.9255 0.7583 0.3152
Al 0.2417 0.0745 0.1848
Al 0.3161 0.4389 0.2383
Al 0.4389 0.3161 0.7383
Al 0.7583 0.9255 0.8152
Al 0.0745 0.2417 0.6848
O 0.6421 0.7499 0.9286
O 0.9499 0.8206 0.5950
O 0.8206 0.9499 0.0950
O 0.4713 0.5287 0.7500
O 0.3579 0.2501 0.0714
O 0.7499 0.6421 0.4286
O 0.6327 0.1340 0.6484
O 0.0501 0.1794 0.4050
O 0.1340 0.6327 0.1484
O 0.1794 0.0501 0.9050
O 0.2501 0.3579 0.5714
O 0.5287 0.4713 0.2500
O 0.8660 0.3673 0.8516
O 0.3673 0.8660 0.3516
Cd 0.2094 0.7906 0.7500
Cd 0.7906 0.2094 0.2500
CELL_PARAMETERS angstrom
5.4941 -3.4340 4.1921
6.0321 4.7421 0.8234
-0.7946 2.0864 4.9368
```


First-principles (meta-GGA r2SCAN) data for crystalline ThInRh2 at its relaxed geometry, as listed in the Materials Project database. Values from VASP.

Calculated values
- crystal system = cubic
- energy of formation (eV/atom) = -0.73

Geometry as Quantum ESPRESSO input:
```
&SYSTEM
  ibrav = 0, nat = 4, ntyp = 3
/
ATOMIC_SPECIES
Th 232.04 Th.upf
In 114.82 In.upf
Rh 102.91 Rh.upf
ATOMIC_POSITIONS crystal
Th 0.0000 0.0000 0.0000
In 0.5000 0.5000 0.5000
Rh 0.7500 0.7500 0.7500
Rh 0.2500 0.2500 0.2500
CELL_PARAMETERS angstrom
0.0000 3.4118 3.4118
3.4118 0.0000 3.4118
3.4118 3.4118 0.0000
```


First-principles (meta-GGA r2SCAN) data for crystalline PmCu2Sn at its relaxed geometry, as listed in the Materials Project database. Values from VASP.

Calculated values
- crystal system = cubic
- energy of formation (eV/atom) = -0.37

Geometry as Quantum ESPRESSO input:
```
&SYSTEM
  ibrav = 0, nat = 4, ntyp = 3
/
ATOMIC_SPECIES
Cu 63.55 Cu.upf
Pm 145.00 Pm.upf
Sn 118.71 Sn.upf
ATOMIC_POSITIONS crystal
Cu 0.5000 0.5000 0.5000
Cu 0.0000 0.0000 0.0000
Pm 0.2500 0.2500 0.2500
Sn 0.7500 0.7500 0.7500
CELL_PARAMETERS angstrom
0.0004 3.3444 3.3444
3.3444 0.0004 3.3444
3.3444 3.3444 0.0004
```


First-principles (meta-GGA r2SCAN) data for crystalline CaIn2Ir at its relaxed geometry, as listed in the Materials Project database. Values from VASP.

Calculated values
- crystal system = orthorhombic
- energy of formation (eV/atom) = -0.57

Geometry as Quantum ESPRESSO input:
```
&SYSTEM
  ibrav = 0, nat = 32, ntyp = 3
/
ATOMIC_SPECIES
Ca 40.08 Ca.upf
Ir 192.22 Ir.upf
In 114.82 In.upf
ATOMIC_POSITIONS crystal
Ca 0.4609 0.7500 0.1380
Ca 0.2484 0.2500 0.1024
Ca 0.5391 0.2500 0.8620
Ca 0.9609 0.2500 0.3620
Ca 0.7516 0.7500 0.8976
Ca 0.7484 0.7500 0.3976
Ca 0.0391 0.7500 0.6380
Ca 0.2516 0.2500 0.6024
Ir 0.9807 0.7500 0.0703
Ir 0.2673 0.7500 0.8143
Ir 0.0193 0.2500 0.9297
Ir 0.7673 0.2500 0.6857
Ir 0.7327 0.2500 0.1857
Ir 0.4807 0.2500 0.4297
Ir 0.5193 0.7500 0.5703
Ir 0.2327 0.7500 0.3143
In 0.7531 0.4460 0.0396
In 0.4671 0.4497 0.2879
In 0.0329 0.0503 0.7879
In 0.2469 0.9460 0.9604
In 0.7469 0.4460 0.5396
In 0.0329 0.4497 0.7879
In 0.9671 0.9497 0.2121
In 0.2531 0.9460 0.4604
In 0.7469 0.0540 0.5396
In 0.5329 0.5503 0.7121
In 0.9671 0.5503 0.2121
In 0.2469 0.5540 0.9604
In 0.2531 0.5540 0.4604
In 0.5329 0.9497 0.7121
In 0.7531 0.0540 0.0396
In 0.4671 0.0503 0.2879
CELL_PARAMETERS angstrom
-4.3714 -3.4773 1.3577
2.9482 -0.8876 7.2189
-8.4619 12.5914 5.0041
```


First-principles (meta-GGA r2SCAN) data for crystalline VBr2O at its relaxed geometry, as listed in the Materials Project database. Values from VASP.

Calculated values
- crystal system = triclinic
- energy of formation (eV/atom) = -1.59

Geometry as Quantum ESPRESSO input:
```
&SYSTEM
  ibrav = 0, nat = 4, ntyp = 3
/
ATOMIC_SPECIES
Br 79.90 Br.upf
V 50.94 V.upf
O 16.00 O.upf
ATOMIC_POSITIONS crystal
Br 0.3634 0.8607 0.7307
Br 0.6366 0.1393 0.2693
V 0.0000 0.0000 0.0000
O 0.0000 0.5000 0.0000
CELL_PARAMETERS angstrom
3.5413 -0.0017 -0.9528
-0.2725 3.4450 -1.0227
-0.0238 0.1460 7.0791
```


First-principles (meta-GGA r2SCAN) data for crystalline YCuSb2 at its relaxed geometry, as listed in the Materials Project database. Values from VASP.

Calculated values
- crystal system = tetragonal
- energy of formation (eV/atom) = -0.69

Geometry as Quantum ESPRESSO input:
```
&SYSTEM
  ibrav = 0, nat = 8, ntyp = 3
/
ATOMIC_SPECIES
Cu 63.55 Cu.upf
Sb 121.76 Sb.upf
Y 88.91 Y.upf
ATOMIC_POSITIONS crystal
Cu 0.7500 0.2500 0.5000
Cu 0.2500 0.7500 0.5000
Sb 0.7500 0.7500 0.3432
Sb 0.7500 0.2500 0.0000
Sb 0.2500 0.7500 0.0000
Sb 0.2500 0.2500 0.6568
Y 0.2500 0.2500 0.2470
Y 0.7500 0.7500 0.7530
CELL_PARAMETERS angstrom
4.2968 0.0000 0.0000
0.0000 4.2968 0.0000
0.0000 0.0000 9.8918
```


First-principles (meta-GGA r2SCAN) data for crystalline Mg3Zn at its relaxed geometry, as listed in the Materials Project database. Values from VASP.

Calculated values
- crystal system = tetragonal
- energy of formation (eV/atom) = 0.01

Geometry as Quantum ESPRESSO input:
```
&SYSTEM
  ibrav = 0, nat = 4, ntyp = 2
/
ATOMIC_SPECIES
Zn 65.41 Zn.upf
Mg 24.30 Mg.upf
ATOMIC_POSITIONS crystal
Zn 0.0000 0.0000 0.0000
Mg 0.5000 0.5000 0.0000
Mg 0.2500 0.7500 0.5000
Mg 0.7500 0.2500 0.5000
CELL_PARAMETERS angstrom
4.4802 2.6651 0.6370
-0.7652 5.0281 -1.3092
-2.6384 -3.2190 3.2027
```


First-principles (meta-GGA r2SCAN) data for crystalline Tb2Co2I at its relaxed geometry, as listed in the Materials Project database. Values from VASP.

Calculated values
- crystal system = hexagonal
- energy of formation (eV/atom) = -0.62

Geometry as Quantum ESPRESSO input:
```
&SYSTEM
  ibrav = 0, nat = 10, ntyp = 3
/
ATOMIC_SPECIES
Tb 158.93 Tb.upf
Co 58.93 Co.upf
I 126.90 I.upf
ATOMIC_POSITIONS crystal
Tb 0.0000 0.0000 0.8954
Tb 0.0000 0.0000 0.1046
Tb 0.0000 0.0000 0.6046
Tb 0.0000 0.0000 0.3954
Co 0.3333 0.6667 0.0037
Co 0.6667 0.3333 0.5037
Co 0.6667 0.3333 0.9963
Co 0.3333 0.6667 0.4963
I 0.3333 0.6667 0.7500
I 0.6667 0.3333 0.2500
CELL_PARAMETERS angstrom
3.9873 0.0000 0.0000
-1.9937 3.4531 0.0000
0.0000 0.0000 17.0220
```


First-principles (meta-GGA r2SCAN) data for crystalline Tl2S at its relaxed geometry, as listed in the Materials Project database. Values from VASP.

Calculated values
- crystal system = trigonal
- energy of formation (eV/atom) = -0.42

Geometry as Quantum ESPRESSO input:
```
&SYSTEM
  ibrav = 0, nat = 9, ntyp = 2
/
ATOMIC_SPECIES
S 32.06 S.upf
Tl 204.38 Tl.upf
ATOMIC_POSITIONS crystal
S 0.0000 0.0000 0.3904
S 0.3333 0.6667 0.3829
S 0.6667 0.3333 0.2580
Tl 0.3738 0.0381 0.6105
Tl 0.2950 0.3307 0.0797
Tl 0.0357 0.7050 0.0797
Tl 0.6693 0.9643 0.0797
Tl 0.9619 0.3357 0.6105
Tl 0.6643 0.6262 0.6105
CELL_PARAMETERS angstrom
-0.3267 0.2205 -7.1171
-5.1814 -3.1954 3.7083
-3.1311 5.4394 0.3123
```


First-principles (meta-GGA r2SCAN) data for crystalline Rb2GeO3 at its relaxed geometry, as listed in the Materials Project database. Values from VASP.

Calculated values
- crystal system = monoclinic
- energy of formation (eV/atom) = -1.90

Geometry as Quantum ESPRESSO input:
```
&SYSTEM
  ibrav = 0, nat = 72, ntyp = 3
/
ATOMIC_SPECIES
Rb 85.47 Rb.upf
O 16.00 O.upf
Ge 72.64 Ge.upf
ATOMIC_POSITIONS crystal
Rb 0.0050 0.6546 0.7792
Rb 0.9950 0.3454 0.2208
Rb 0.5864 0.2718 0.9720
Rb 0.1980 0.8881 0.3008
Rb 0.3828 0.1099 0.1402
Rb 0.0864 0.7282 0.5280
Rb 0.3020 0.8881 0.8008
Rb 0.1172 0.1099 0.6402
Rb 0.1447 0.5764 0.9957
Rb 0.4136 0.7282 0.0280
Rb 0.4950 0.6546 0.2792
Rb 0.6447 0.4236 0.5043
Rb 0.1156 0.0201 0.0816
Rb 0.5050 0.3454 0.7208
Rb 0.3844 0.0201 0.5816
Rb 0.6172 0.8901 0.8598
Rb 0.6980 0.1119 0.1992
Rb 0.3553 0.5764 0.4957
Rb 0.6156 0.9799 0.4184
Rb 0.8828 0.8901 0.3598
Rb 0.9136 0.2718 0.4720
Rb 0.8553 0.4236 0.0043
Rb 0.8844 0.9799 0.9184
Rb 0.8020 0.1119 0.6992
O 0.1331 0.3924 0.4755
O 0.7644 0.8842 0.0810
O 0.2302 0.7270 0.6566
O 0.3060 0.3021 0.6630
O 0.7356 0.8842 0.5810
O 0.4596 0.2883 0.4200
O 0.3669 0.3924 0.9755
O 0.3602 0.3477 0.2610
O 0.9177 0.0680 0.1477
O 0.9596 0.7117 0.0800
O 0.2644 0.1158 0.4190
O 0.0404 0.2883 0.9200
O 0.7302 0.2730 0.8434
O 0.1398 0.3477 0.7610
O 0.6331 0.6076 0.0245
O 0.6940 0.6979 0.3370
O 0.2356 0.1158 0.9190
O 0.9392 0.9010 0.6135
O 0.0823 0.9320 0.8523
O 0.3292 0.4756 0.8017
O 0.4177 0.9320 0.3523
O 0.6708 0.5244 0.1983
O 0.7698 0.2730 0.3434
O 0.5404 0.7117 0.5800
O 0.8292 0.5244 0.6983
O 0.1708 0.4756 0.3017
O 0.1940 0.3021 0.1630
O 0.5823 0.0680 0.6477
O 0.2698 0.7270 0.1566
O 0.8060 0.6979 0.8370
O 0.8669 0.6076 0.5245
O 0.8602 0.6523 0.2390
O 0.5608 0.9010 0.1135
O 0.4392 0.0990 0.8865
O 0.6398 0.6523 0.7390
O 0.0608 0.0990 0.3865
Ge 0.6518 0.7299 0.1004
Ge 0.1518 0.2701 0.3996
Ge 0.8824 0.8304 0.1350
Ge 0.3482 0.2701 0.8996
Ge 0.3824 0.1696 0.3650
Ge 0.2538 0.4688 0.7133
Ge 0.2462 0.4688 0.2133
Ge 0.1176 0.1696 0.8650
Ge 0.7462 0.5312 0.2867
Ge 0.8482 0.7299 0.6004
Ge 0.7538 0.5312 0.7867
Ge 0.6176 0.8304 0.6350
CELL_PARAMETERS angstrom
-5.5106 11.9844 3.0779
-6.0126 -2.8630 0.3826
-2.1578 -5.0506 15.8021
```


First-principles (meta-GGA r2SCAN) data for crystalline Ho3P6Pd20 at its relaxed geometry, as listed in the Materials Project database. Values from VASP.

Calculated values
- crystal system = cubic
- energy of formation (eV/atom) = -0.76

Geometry as Quantum ESPRESSO input:
```
&SYSTEM
  ibrav = 0, nat = 29, ntyp = 3
/
ATOMIC_SPECIES
Ho 164.93 Ho.upf
Pd 106.42 Pd.upf
P 30.97 P.upf
ATOMIC_POSITIONS crystal
Ho 0.0000 0.0000 0.0000
Ho 0.2500 0.2500 0.2500
Ho 0.7500 0.7500 0.7500
Pd 0.3841 0.8477 0.3841
Pd 0.0000 0.3453 0.6547
Pd 0.0000 0.0000 0.3453
Pd 0.6547 0.3453 0.0000
Pd 0.0000 0.6547 0.3453
Pd 0.6159 0.6159 0.6159
Pd 0.6547 0.0000 0.3453
Pd 0.3453 0.0000 0.6547
Pd 0.3841 0.3841 0.3841
Pd 0.3453 0.6547 0.0000
Pd 0.0000 0.0000 0.6547
Pd 0.3841 0.3841 0.8477
Pd 0.8477 0.3841 0.3841
Pd 0.6159 0.6159 0.1523
Pd 0.6547 0.0000 0.0000
Pd 0.0000 0.3453 0.0000
Pd 0.6159 0.1524 0.6159
Pd 0.0000 0.6547 0.0000
Pd 0.1523 0.6159 0.6159
Pd 0.3453 0.0000 0.0000
P 0.2631 0.2631 0.7369
P 0.2631 0.7369 0.7369
P 0.2631 0.7369 0.2631
P 0.7369 0.2631 0.2631
P 0.7369 0.7369 0.2631
P 0.7369 0.2631 0.7369
CELL_PARAMETERS angstrom
0.0000 6.0874 6.0874
6.0874 0.0000 6.0874
6.0874 6.0874 0.0000
```


First-principles (meta-GGA r2SCAN) data for crystalline CoTe2Pd2 at its relaxed geometry, as listed in the Materials Project database. Values from VASP.

Calculated values
- crystal system = orthorhombic
- energy of formation (eV/atom) = -0.24

Geometry as Quantum ESPRESSO input:
```
&SYSTEM
  ibrav = 0, nat = 10, ntyp = 3
/
ATOMIC_SPECIES
Pd 106.42 Pd.upf
Co 58.93 Co.upf
Te 127.60 Te.upf
ATOMIC_POSITIONS crystal
Pd 0.6066 0.4756 0.2132
Pd 0.1066 0.7377 0.2132
Pd 0.8934 0.2623 0.7868
Pd 0.3934 0.5244 0.7868
Co 0.2500 0.0000 0.0000
Co 0.7500 0.0000 0.0000
Te 0.8579 0.6425 0.7158
Te 0.6421 0.9267 0.2842
Te 0.3579 0.0733 0.7158
Te 0.1421 0.3575 0.2842
CELL_PARAMETERS angstrom
4.8260 0.0000 -1.9787
-1.1801 5.4768 -2.8783
0.0162 0.0152 6.9141
```


First-principles (meta-GGA r2SCAN) data for crystalline LaMg at its relaxed geometry, as listed in the Materials Project database. Values from VASP.

Calculated values
- crystal system = orthorhombic
- energy above the lowest structure with this stoichiometry (eV/atom) = 0.000
- energy of formation (eV/atom) = -0.11

Geometry as Quantum ESPRESSO input:
```
&SYSTEM
  ibrav = 0, nat = 4, ntyp = 2
/
ATOMIC_SPECIES
Mg 24.30 Mg.upf
La 138.91 La.upf
ATOMIC_POSITIONS crystal
Mg 0.5000 0.7500 0.6932
Mg 0.5000 0.2500 0.3068
La 0.0000 0.2500 0.7931
La 0.0000 0.7500 0.2069
CELL_PARAMETERS angstrom
3.8015 0.0000 0.0000
0.0000 5.6155 0.0000
0.0000 0.0000 5.7890
```


Across the entries above, total moment takes the values 0.000, 0.004, 0.000, 0.000, 0.000, 0.001, 0.000, 0.000, 1.000, 0.000, 0.000, 5.578, 0.000, 0.000, 0.000, 0.000, 0.000 Bohr magnetons per cell, respectively.
Across the entries above, calculated total energy takes the values -29.64, -3.59, -14.78, -20.08, -10.38, -36.81, -19.37, -26.70, -13.24, -21.33, -5.34, -23.32, -38.55, -11.84, -21.86, -22.24, -17.07 eV/atom, respectively.